(1)
An optimized crystal structure of BaAgSb, computed with PBE.

Unit cell a=5.759 b=5.759 c=6.950 alpha=90.00 beta=90.00 gamma=120.00
Fractional positions:
Ba (0.333, 0.667, 0.250)
Ba (0.667, 0.333, 0.750)
Ag (0.000, 0.000, 0.000)
Ag (0.000, 0.000, 0.500)
Sb (0.333, 0.667, 0.750)
Sb (0.667, 0.333, 0.250)

- SG = P6_3/mmc, No. 194
- spin magnetization (μB per formula unit) = 0.00
- crystal system = hexagonal

(2)
An optimized crystal structure of BaAg2SnSe4, computed with PBE.

Unit cell a=6.774 b=6.774 c=6.774 alpha=115.80 beta=111.54 gamma=101.39
Fractional positions:
Ba (0.000, 0.000, 0.000)
Ag (0.310, 0.810, 0.500)
Ag (0.690, 0.190, 0.500)
Sn (0.500, 0.500, 0.000)
Se (0.521, 0.532, 0.401)
Se (0.479, 0.879, 0.010)
Se (0.131, 0.121, 0.599)
Se (0.869, 0.468, 0.990)

- SG = I222, No. 23
- maximum piezoelectric response (C/m2) = 0.0
- spin magnetization (μB per formula unit) = 0.00
- crystal system = orthorhombic

(3)
An optimized crystal structure of BaYAgSe3, computed with PBE.

Unit cell a=7.486 b=7.486 c=10.813 alpha=90.00 beta=90.00 gamma=146.64
Fractional positions:
Ba (0.249, 0.751, 0.250)
Ba (0.751, 0.249, 0.750)
Y (0.000, 0.000, 0.000)
Y (0.000, 0.000, 0.500)
Ag (0.530, 0.470, 0.250)
Ag (0.470, 0.530, 0.750)
Se (0.365, 0.635, 0.550)
Se (0.635, 0.365, 0.450)
Se (0.635, 0.365, 0.050)
Se (0.080, 0.920, 0.750)
Se (0.920, 0.080, 0.250)
Se (0.365, 0.635, 0.950)

- SG = Cmcm, No. 63
- spin magnetization (μB per formula unit) = 0.00
- crystal system = orthorhombic

(4)
An optimized crystal structure of Ba2Si3Ag, computed with PBE.

Unit cell a=12.487 b=10.876 c=8.670 alpha=78.52 beta=58.60 gamma=42.88
Fractional positions:
Ba (0.126, 0.126, 0.374)
Ba (0.876, 0.876, 0.124)
Ba (0.124, 0.124, 0.876)
Ba (0.374, 0.374, 0.126)
Ba (0.624, 0.624, 0.376)
Ba (0.376, 0.376, 0.624)
Ba (0.626, 0.626, 0.874)
Ba (0.874, 0.874, 0.626)
Si (0.338, 0.656, 0.822)
Si (0.184, 0.822, 0.656)
Si (0.822, 0.184, 0.338)
Si (0.656, 0.338, 0.184)
Si (0.912, 0.594, 0.428)
Si (0.066, 0.428, 0.594)
Si (0.428, 0.066, 0.912)
Si (0.910, 0.590, 0.910)
Si (0.660, 0.340, 0.660)
Si (0.340, 0.660, 0.340)
Si (0.590, 0.910, 0.590)
Si (0.594, 0.912, 0.066)
Ag (0.083, 0.417, 0.083)
Ag (0.167, 0.833, 0.167)
Ag (0.417, 0.083, 0.417)
Ag (0.833, 0.167, 0.833)

- SG = Fddd, No. 70
- crystal system = orthorhombic

(5)
An optimized crystal structure of BaSr3Ag4, computed with PBE.

Unit cell a=4.920 b=6.451 c=8.371 alpha=89.06 beta=90.00 gamma=90.00
Fractional positions:
Ba (0.250, 0.871, 0.679)
Sr (0.250, 0.631, 0.180)
Sr (0.750, 0.134, 0.316)
Sr (0.750, 0.368, 0.822)
Ag (0.250, 0.377, 0.532)
Ag (0.250, 0.125, 0.040)
Ag (0.750, 0.616, 0.459)
Ag (0.750, 0.879, 0.972)

- SG = Pm, No. 6
- spin magnetization (μB per formula unit) = 0.01
- crystal system = monoclinic

(6)
An optimized crystal structure of Ba3SrAg4, computed with PBE.

Unit cell a=4.989 b=6.622 c=8.656 alpha=89.27 beta=90.00 gamma=90.00
Fractional positions:
Ba (0.500, 0.368, 0.180)
Ba (0.000, 0.871, 0.322)
Ba (0.000, 0.631, 0.818)
Sr (0.500, 0.133, 0.681)
Ag (0.500, 0.617, 0.536)
Ag (0.500, 0.884, 0.031)
Ag (0.000, 0.378, 0.470)
Ag (0.000, 0.119, 0.961)

- SG = Pm, No. 6
- crystal system = monoclinic

| no. | ΔE_f (eV per atom) |
| --- | --- |
| 1 | -0.4118 |
| 2 | -0.9697 |
| 3 | -1.7819 |
| 4 | -0.4369 |
| 5 | -0.3030 |
| 6 | -0.2861 |